# 1
Below is crystalline Cs2MnO4 at its relaxed geometry, with properties calculated at the r2SCAN level.

Unit cell a=6.298 b=8.423 c=11.134 alpha=90.00 beta=90.00 gamma=90.01
Fractional positions:
Cs 0.750 0.986 0.306
Cs 0.750 0.486 0.194
Cs 0.250 0.333 0.410
Cs 0.750 0.667 0.590
Cs 0.750 0.167 0.910
Cs 0.250 0.014 0.694
Cs 0.250 0.514 0.806
Cs 0.250 0.833 0.090
O 0.538 0.308 0.648
O 0.038 0.692 0.352
O 0.038 0.192 0.148
O 0.250 0.959 0.415
O 0.750 0.041 0.585
O 0.462 0.192 0.148
O 0.250 0.707 0.561
O 0.962 0.808 0.852
O 0.962 0.308 0.648
O 0.462 0.692 0.352
O 0.750 0.293 0.439
O 0.250 0.207 0.939
O 0.750 0.541 0.915
O 0.538 0.808 0.852
O 0.250 0.459 0.085
O 0.750 0.793 0.061
Mn 0.250 0.764 0.419
Mn 0.750 0.736 0.919
Mn 0.750 0.236 0.581
Mn 0.250 0.264 0.081

Calculated formation energy = -1.84 eV/atom


# 2
Below is crystalline Pr6OsBr10 at its relaxed geometry, with properties calculated at the r2SCAN level.

Unit cell a=7.721 b=9.496 c=9.561 alpha=109.12 beta=96.98 gamma=106.67
Fractional positions:
Br 0.950 0.324 0.581
Br 0.141 0.032 0.221
Br 0.755 0.584 0.957
Br 0.590 0.869 0.328
Br 0.303 0.763 0.856
Br 0.245 0.416 0.043
Br 0.410 0.131 0.672
Br 0.859 0.968 0.779
Br 0.697 0.237 0.144
Br 0.050 0.676 0.419
Pr 0.629 0.548 0.254
Pr 0.124 0.350 0.307
Pr 0.371 0.452 0.746
Pr 0.876 0.650 0.693
Pr 0.472 0.797 0.594
Pr 0.528 0.203 0.406
Os 0.500 0.500 0.500

Calculated formation energy = -1.84 eV/atom


# 3
Below is crystalline Mg3Si8Ir3 at its relaxed geometry, with properties calculated at the r2SCAN level.

Unit cell a=8.632 b=8.632 c=8.632 alpha=60.00 beta=60.00 gamma=60.00
Fractional positions:
Si 0.470 0.891 0.470
Si 0.891 0.470 0.170
Si 0.170 0.470 0.891
Si 0.470 0.470 0.891
Si 0.470 0.891 0.170
Si 0.470 0.170 0.470
Si 0.170 0.891 0.470
Si 0.470 0.470 0.170
Si 0.073 0.073 0.073
Si 0.891 0.170 0.470
Si 0.891 0.470 0.470
Si 0.073 0.780 0.073
Si 0.470 0.170 0.891
Si 0.780 0.073 0.073
Si 0.170 0.470 0.470
Si 0.073 0.073 0.780
Mg 0.500 0.500 0.500
Mg 0.851 0.851 0.448
Mg 0.250 0.250 0.250
Mg 0.851 0.448 0.851
Mg 0.851 0.851 0.851
Mg 0.448 0.851 0.851
Ir 0.245 0.755 0.245
Ir 0.245 0.245 0.755
Ir 0.755 0.245 0.245
Ir 0.755 0.755 0.245
Ir 0.245 0.755 0.755
Ir 0.755 0.245 0.755

Calculated formation energy = -0.49 eV/atom


# 4
Below is crystalline Te6IrBr3 at its relaxed geometry, with properties calculated at the r2SCAN level.

Unit cell a=9.300 b=9.300 c=9.300 alpha=108.11 beta=108.11 gamma=108.11
Fractional positions:
Te 0.170 0.189 0.927
Te 0.811 0.073 0.830
Te 0.427 0.689 0.670
Te 0.670 0.427 0.689
Te 0.573 0.311 0.330
Te 0.927 0.170 0.189
Te 0.073 0.830 0.811
Te 0.189 0.927 0.170
Te 0.311 0.330 0.573
Te 0.330 0.573 0.311
Te 0.689 0.670 0.427
Te 0.830 0.811 0.073
Ir 0.750 0.750 0.750
Ir 0.250 0.250 0.250
Br 0.250 0.983 0.517
Br 0.983 0.517 0.250
Br 0.517 0.250 0.983
Br 0.483 0.750 0.017
Br 0.750 0.017 0.483
Br 0.017 0.483 0.750

Calculated formation energy = -0.34 eV/atom


# 5
Below is crystalline K2WCl6 at its relaxed geometry, with properties calculated at the r2SCAN level.

Unit cell a=6.956 b=6.956 c=6.956 alpha=60.00 beta=60.00 gamma=60.00
Fractional positions:
Cl 0.758 0.242 0.758
Cl 0.242 0.758 0.242
Cl 0.242 0.242 0.758
Cl 0.758 0.758 0.242
Cl 0.758 0.242 0.242
Cl 0.242 0.758 0.758
K 0.250 0.250 0.250
K 0.750 0.750 0.750
W 0.000 0.000 0.000

Calculated formation energy = -1.54 eV/atom


# 6
Below is crystalline Dy11Y5O24 at its relaxed geometry, with properties calculated at the r2SCAN level.

Unit cell a=9.178 b=9.179 c=9.177 alpha=109.45 beta=109.47 gamma=109.49
Fractional positions:
Dy 0.750 0.533 0.283
Dy 0.032 0.782 0.750
Dy 0.282 0.750 0.532
Dy 0.000 0.000 0.500
Dy 0.782 0.750 0.033
Dy 0.250 0.968 0.217
Dy 0.500 0.500 0.500
Dy 0.250 0.468 0.718
Dy 0.500 0.000 0.000
Dy 0.750 0.032 0.782
Dy 0.468 0.718 0.250
Y 0.000 0.500 0.000
Y 0.532 0.282 0.750
Y 0.718 0.250 0.468
Y 0.968 0.218 0.250
Y 0.218 0.250 0.968
O 0.469 0.458 0.230
O 0.761 0.489 0.032
O 0.240 0.511 0.969
O 0.260 0.729 0.772
O 0.228 0.740 0.271
O 0.011 0.272 0.043
O 0.969 0.239 0.511
O 0.957 0.989 0.728
O 0.728 0.957 0.989
O 0.511 0.968 0.239
O 0.457 0.229 0.468
O 0.271 0.228 0.739
O 0.272 0.042 0.011
O 0.771 0.532 0.543
O 0.043 0.011 0.272
O 0.739 0.271 0.228
O 0.989 0.728 0.957
O 0.543 0.771 0.531
O 0.531 0.543 0.771
O 0.772 0.260 0.729
O 0.229 0.469 0.458
O 0.729 0.772 0.261
O 0.031 0.761 0.489
O 0.489 0.031 0.760

Calculated formation energy = -3.92 eV/atom


# 7
Below is crystalline SiPd2 at its relaxed geometry, with properties calculated at the r2SCAN level.

Unit cell a=6.478 b=6.478 c=3.505 alpha=90.00 beta=90.00 gamma=120.01
Fractional positions:
Si 0.000 0.000 0.500
Si 0.667 0.333 0.000
Si 0.333 0.667 0.000
Pd 0.393 0.393 0.500
Pd 0.000 0.607 0.500
Pd 0.000 0.265 0.000
Pd 0.607 0.000 0.500
Pd 0.735 0.735 0.000
Pd 0.265 0.000 0.000

Calculated formation energy = -0.68 eV/atom


# 8
Below is crystalline Lu2TeO6 at its relaxed geometry, with properties calculated at the r2SCAN level.

Unit cell a=8.917 b=8.917 c=5.015 alpha=90.00 beta=90.00 gamma=120.00
Fractional positions:
Lu 0.000 0.623 0.000
Lu 0.377 0.377 0.000
Lu 0.623 0.000 0.000
Lu 0.286 0.000 0.500
Lu 0.000 0.286 0.500
Lu 0.714 0.714 0.500
O 0.121 0.204 0.786
O 0.796 0.917 0.786
O 0.237 0.461 0.281
O 0.224 0.763 0.281
O 0.414 0.870 0.716
O 0.461 0.237 0.719
O 0.204 0.121 0.214
O 0.917 0.796 0.214
O 0.544 0.130 0.284
O 0.763 0.224 0.719
O 0.130 0.544 0.716
O 0.870 0.414 0.284
O 0.083 0.879 0.786
O 0.539 0.776 0.281
O 0.776 0.539 0.719
O 0.456 0.586 0.716
O 0.586 0.456 0.284
O 0.879 0.083 0.214
Te 0.667 0.333 0.501
Te 0.000 0.000 0.000
Te 0.333 0.667 0.499

Calculated formation energy = -2.89 eV/atom
Energy above the lowest structure with this stoichiometry = 0.0 meV/atom


# 9
Below is crystalline Y3Al2Ga3O12 at its relaxed geometry, with properties calculated at the r2SCAN level.

Unit cell a=10.532 b=10.532 c=10.532 alpha=109.47 beta=109.47 gamma=109.47
Fractional positions:
O 0.326 0.906 0.025
O 0.674 0.094 0.975
O 0.801 0.881 0.975
O 0.025 0.326 0.906
O 0.594 0.174 0.475
O 0.906 0.025 0.326
O 0.881 0.406 0.080
O 0.699 0.525 0.619
O 0.420 0.094 0.619
O 0.674 0.080 0.699
O 0.525 0.406 0.826
O 0.619 0.699 0.525
O 0.920 0.301 0.326
O 0.326 0.920 0.301
O 0.580 0.174 0.199
O 0.975 0.674 0.094
O 0.920 0.119 0.594
O 0.174 0.475 0.594
O 0.174 0.199 0.580
O 0.094 0.619 0.420
O 0.199 0.580 0.174
O 0.080 0.881 0.406
O 0.881 0.975 0.801
O 0.119 0.594 0.920
O 0.826 0.525 0.406
O 0.580 0.906 0.381
O 0.381 0.301 0.475
O 0.525 0.619 0.699
O 0.699 0.674 0.080
O 0.826 0.801 0.420
O 0.025 0.199 0.119
O 0.406 0.826 0.525
O 0.381 0.580 0.906
O 0.406 0.080 0.881
O 0.119 0.025 0.199
O 0.475 0.594 0.174
O 0.594 0.920 0.119
O 0.094 0.975 0.674
O 0.619 0.420 0.094
O 0.475 0.381 0.301
O 0.975 0.801 0.881
O 0.080 0.699 0.674
O 0.906 0.381 0.580
O 0.801 0.420 0.826
O 0.301 0.475 0.381
O 0.199 0.119 0.025
O 0.301 0.326 0.920
O 0.420 0.826 0.801
Al 0.000 0.000 0.500
Al 0.500 0.000 0.000
Al 0.500 0.000 0.500
Al 0.000 0.500 0.000
Al 0.000 0.000 0.000
Al 0.000 0.500 0.500
Al 0.500 0.500 0.500
Al 0.500 0.500 0.000
Ga 0.250 0.625 0.375
Ga 0.375 0.625 0.750
Ga 0.250 0.125 0.875
Ga 0.625 0.750 0.375
Ga 0.125 0.750 0.875
Ga 0.750 0.875 0.125
Ga 0.750 0.375 0.625
Ga 0.125 0.875 0.250
Ga 0.875 0.125 0.750
Ga 0.375 0.250 0.625
Ga 0.875 0.250 0.125
Ga 0.625 0.375 0.250
Y 0.250 0.375 0.125
Y 0.375 0.125 0.250
Y 0.125 0.250 0.375
Y 0.875 0.625 0.250
Y 0.375 0.750 0.125
Y 0.750 0.125 0.375
Y 0.250 0.875 0.625
Y 0.875 0.750 0.625
Y 0.625 0.875 0.750
Y 0.125 0.375 0.750
Y 0.750 0.625 0.875
Y 0.625 0.250 0.875

Calculated formation energy = -3.15 eV/atom


# 10
Below is crystalline Ag at its relaxed geometry, with properties calculated at the r2SCAN level.

Unit cell a=2.902 b=2.902 c=2.902 alpha=60.00 beta=60.00 gamma=60.00
Fractional positions:
Ag 0.000 0.000 0.000

Calculated formation energy = 0.00 eV/atom
Energy above the lowest structure with this stoichiometry = 2.1 meV/atom


# 11
Below is crystalline Pb3Cl2O2 at its relaxed geometry, with properties calculated at the r2SCAN level.

Unit cell a=5.858 b=9.660 c=11.951 alpha=90.00 beta=90.00 gamma=90.00
Fractional positions:
Pb 0.250 0.706 0.060
Pb 0.750 0.294 0.940
Pb 0.750 0.206 0.440
Pb 0.250 0.080 0.081
Pb 0.750 0.580 0.419
Pb 0.250 0.420 0.581
Pb 0.750 0.634 0.717
Pb 0.250 0.134 0.783
Pb 0.750 0.866 0.217
Pb 0.750 0.920 0.919
Pb 0.250 0.794 0.560
Pb 0.250 0.366 0.283
Cl 0.750 0.309 0.691
Cl 0.750 0.915 0.635
Cl 0.750 0.191 0.191
Cl 0.250 0.691 0.309
Cl 0.750 0.585 0.135
Cl 0.250 0.085 0.365
Cl 0.250 0.809 0.809
Cl 0.250 0.415 0.865
O 0.995 0.113 0.920
O 0.495 0.887 0.080
O 0.495 0.613 0.580
O 0.505 0.113 0.920
O 0.005 0.887 0.080
O 0.995 0.387 0.420
O 0.505 0.387 0.420
O 0.005 0.613 0.580

Calculated formation energy = -1.35 eV/atom


# 12
Below is crystalline TiZn3 at its relaxed geometry, with properties calculated at the r2SCAN level.

Unit cell a=3.881 b=3.881 c=3.881 alpha=90.00 beta=90.00 gamma=90.00
Fractional positions:
Zn 0.000 0.500 0.500
Zn 0.500 0.000 0.500
Zn 0.500 0.500 0.000
Ti 0.000 0.000 0.000

Calculated formation energy = -0.21 eV/atom


# 13
Below is crystalline TbAlPd at its relaxed geometry, with properties calculated at the r2SCAN level.

Unit cell a=4.443 b=6.934 c=7.721 alpha=90.00 beta=90.00 gamma=90.00
Fractional positions:
Tb 0.250 0.533 0.820
Tb 0.750 0.467 0.180
Tb 0.250 0.033 0.680
Tb 0.750 0.967 0.320
Al 0.250 0.643 0.437
Al 0.750 0.857 0.937
Al 0.250 0.143 0.063
Al 0.750 0.357 0.563
Pd 0.250 0.274 0.383
Pd 0.750 0.226 0.883
Pd 0.750 0.726 0.617
Pd 0.250 0.774 0.117

Calculated formation energy = -0.93 eV/atom


# 14
Below is crystalline BeFe3 at its relaxed geometry, with properties calculated at the r2SCAN level.

Unit cell a=2.434 b=2.434 c=7.359 alpha=90.00 beta=90.00 gamma=101.26
Fractional positions:
Be 0.000 0.000 0.000
Fe 0.000 0.000 0.500
Fe 0.500 0.500 0.229
Fe 0.500 0.500 0.771

Calculated formation energy = -0.02 eV/atom


# 15
Below is crystalline Ca2AlVO6 at its relaxed geometry, with properties calculated at the r2SCAN level.

Unit cell a=5.278 b=5.278 c=5.278 alpha=60.00 beta=60.00 gamma=60.00
Fractional positions:
V 0.500 0.500 0.500
Al 0.000 0.000 0.000
Ca 0.250 0.250 0.250
Ca 0.750 0.750 0.750
O 0.250 0.750 0.750
O 0.250 0.750 0.250
O 0.750 0.250 0.750
O 0.250 0.250 0.750
O 0.750 0.250 0.250
O 0.750 0.750 0.250

Calculated formation energy = -3.11 eV/atom